This record from Materials Project describes a relaxed structure of LuNi4As2. The functional is r2SCAN.

a = 7.1409 Å, b = 7.1409 Å, c = 3.7152 Å
α = 90.00°, β = 90.00°, γ = 90.00°
Space group P4_2/mnm (No. 136)
Inequivalent atoms, fractional coordinates:
1 Lu 0.0000 0.0000 0.0000 (multiplicity 2)
2 Ni 0.0881 0.3454 0.5000 (multiplicity 8)
3 As 0.2178 0.7822 0.5000 (multiplicity 4)

Results
The energy of formation comes out at -4.4 eV/f.u. As for the total magnetization: 0.0 μB per formula unit.